# TbB2C, relaxed, DFT r²SCAN
# - final energy (eV per atom) = -14.58
# - calculated density (g cm⁻³) = 7.352
data_TbB2C
_chemical_formula_sum 'Tb8 B16 C8'
_cell_length_a 6.797
_cell_length_b 6.797
_cell_length_c 7.531
_cell_angle_alpha 90.00
_cell_angle_beta 90.00
_cell_angle_gamma 90.00
_symmetry_space_group_name_H-M 'P 1'
_symmetry_Int_Tables_number 1
loop_
_symmetry_equiv_pos_as_xyz
'x,y,z'
loop_
_atom_site_label
_atom_site_fract_x
_atom_site_fract_y
_atom_site_fract_z
Tb1 0.191 0.309 0.250
B1 0.095 0.597 0.500
B2 0.151 0.034 0.000
B3 0.966 0.151 0.500
C1 0.541 0.677 0.000
C2 0.823 0.959 0.500
Tb2 0.309 0.809 0.750
B4 0.534 0.651 0.500
B5 0.905 0.403 0.500
Tb3 0.691 0.191 0.250
Tb4 0.309 0.809 0.250
B6 0.595 0.903 0.500
Tb5 0.191 0.309 0.750
C3 0.177 0.041 0.500
C4 0.041 0.823 0.000
Tb6 0.809 0.691 0.750
B7 0.405 0.097 0.500
C5 0.959 0.177 0.000
B8 0.097 0.595 0.000
B9 0.597 0.905 0.000
C6 0.459 0.323 0.000
B10 0.403 0.095 0.000
C7 0.323 0.541 0.500
B11 0.651 0.466 0.000
B12 0.903 0.405 0.000
B13 0.466 0.349 0.500
B14 0.034 0.849 0.500
B15 0.849 0.966 0.000
C8 0.677 0.459 0.500
B16 0.349 0.534 0.000
Tb7 0.809 0.691 0.250
Tb8 0.691 0.191 0.750